{"formula": "BaYF5", "functional": "PBE", "state": "optimized geometry", "e_above_lowest_polymorph_ev_per_fu": 0.22, "formation_enthalpy_0k_ev_per_atom": -4.309, "lattice_angstrom": [[11.046, 0.000, 0.000], [0.000, 7.697, 0.000], [-10.500, 0.000, 11.268]], "species": ["Ba", "Ba", "Ba", "Ba", "Ba", "Ba", "Ba", "Ba", "Y", "Y", "Y", "Y", "Y", "Y", "Y", "Y", "F", "F", "F", "F", "F", "F", "F", "F", "F", "F", "F", "F", "F", "F", "F", "F", "F", "F", "F", "F", "F", "F", "F", "F", "F", "F", "F", "F", "F", "F", "F", "F", "F", "F", "F", "F", "F", "F", "F", "F"], "fractional_positions": [[0.035, 0.249, 0.197], [0.035, 0.251, 0.697], [0.235, 0.749, 0.703], [0.235, 0.751, 0.203], [0.765, 0.249, 0.797], [0.765, 0.251, 0.297], [0.965, 0.749, 0.303], [0.965, 0.751, 0.803], [0.241, 0.245, 0.525], [0.241, 0.255, 0.025], [0.481, 0.747, 0.600], [0.481, 0.753, 0.100], [0.519, 0.247, 0.900], [0.519, 0.253, 0.400], [0.759, 0.745, 0.975], [0.759, 0.755, 0.475], [0.042, 0.083, 0.359], [0.042, 0.417, 0.859], [0.043, 0.085, 0.861], [0.043, 0.415, 0.361], [0.049, 0.250, 0.031], [0.049, 0.250, 0.531], [0.284, 0.749, 0.404], [0.284, 0.751, 0.904], [0.305, 0.555, 0.074], [0.305, 0.945, 0.574], [0.314, 0.060, 0.789], [0.314, 0.440, 0.289], [0.316, 0.536, 0.577], [0.316, 0.964, 0.077], [0.320, 0.062, 0.289], [0.320, 0.438, 0.789], [0.373, 0.245, 0.464], [0.373, 0.255, 0.964], [0.462, 0.240, 0.720], [0.462, 0.260, 0.220], [0.538, 0.740, 0.780], [0.538, 0.760, 0.280], [0.627, 0.745, 0.036], [0.627, 0.755, 0.536], [0.680, 0.562, 0.211], [0.680, 0.938, 0.711], [0.684, 0.036, 0.923], [0.684, 0.464, 0.423], [0.686, 0.560, 0.711], [0.686, 0.940, 0.211], [0.695, 0.055, 0.426], [0.695, 0.445, 0.926], [0.716, 0.249, 0.096], [0.716, 0.251, 0.596], [0.951, 0.750, 0.469], [0.951, 0.750, 0.969], [0.957, 0.585, 0.639], [0.957, 0.915, 0.139], [0.958, 0.583, 0.141], [0.958, 0.917, 0.641]]}